Here is Na3ScSn3P6O24 after structural relaxation from Materials Project. Energies are from GGA-PBE.

Lattice parameters (Å, degrees): 8.784 8.815 22.859 90.02 90.02 119.87
Space group P1 (No. 1)
Inequivalent atoms, fractional coordinates:
1 Na 0.000 0.000 0.000 x1
2 Na 0.007 0.000 0.500 x1
3 Na 0.042 0.345 0.584 x1
4 Na 0.312 0.345 0.083 x1
5 Na 0.341 0.675 0.165 x1
6 Na 0.348 0.683 0.669 x1
7 Na 0.375 0.012 0.250 x1
8 Na 0.674 0.341 0.837 x1
9 Na 0.682 0.349 0.335 x1
10 Sc 0.341 0.682 0.019 x1
11 Sc 0.347 0.681 0.520 x1
12 Sc 0.682 0.348 0.187 x1
13 Sn 0.000 0.002 0.150 x1
14 Sn 0.005 0.008 0.355 x1
15 Sn 0.007 0.002 0.651 x1
16 Sn 0.008 0.008 0.855 x1
17 Sn 0.340 0.669 0.318 x1
18 Sn 0.341 0.674 0.818 x1
19 Sn 0.672 0.341 0.482 x1
20 Sn 0.672 0.341 0.689 x1
21 Sn 0.676 0.341 0.982 x1
22 P 0.006 0.716 0.253 x1
23 P 0.009 0.301 0.752 x1
24 P 0.047 0.674 0.918 x1
25 P 0.048 0.381 0.420 x1
26 P 0.297 0.301 0.252 x1
27 P 0.300 0.007 0.752 x1
28 P 0.341 0.382 0.919 x1
29 P 0.341 0.968 0.418 x1
30 P 0.383 0.048 0.087 x1
31 P 0.383 0.340 0.586 x1
32 P 0.633 0.968 0.918 x1
33 P 0.634 0.674 0.419 x1
34 P 0.673 0.050 0.586 x1
35 P 0.676 0.634 0.085 x1
36 P 0.715 0.007 0.253 x1
37 P 0.715 0.716 0.752 x1
38 P 0.963 0.633 0.585 x1
39 P 0.966 0.341 0.086 x1
40 O 0.029 0.840 0.912 x1
41 O 0.030 0.198 0.413 x1
42 O 0.041 0.225 0.694 x1
43 O 0.051 0.837 0.199 x1
44 O 0.125 0.641 0.862 x1
45 O 0.127 0.494 0.364 x1
46 O 0.143 0.646 0.579 x1
47 O 0.152 0.499 0.079 x1
48 O 0.156 0.461 0.475 x1
49 O 0.160 0.704 0.972 x1
50 O 0.175 0.198 0.912 x1
51 O 0.175 0.484 0.757 x1
52 O 0.175 0.987 0.412 x1
53 O 0.180 0.708 0.259 x1
54 O 0.186 0.222 0.195 x1
55 O 0.188 0.973 0.696 x1
56 O 0.195 0.175 0.591 x1
57 O 0.199 0.039 0.091 x1
58 O 0.214 0.181 0.306 x1
59 O 0.219 0.041 0.807 x1
60 O 0.312 0.460 0.975 x1
61 O 0.312 0.483 0.258 x1
62 O 0.312 0.853 0.471 x1
63 O 0.318 0.842 0.758 x1
64 O 0.356 0.499 0.580 x1
65 O 0.361 0.867 0.080 x1
66 O 0.373 0.893 0.360 x1
67 O 0.374 0.494 0.863 x1
68 O 0.461 0.170 0.032 x1
69 O 0.461 0.303 0.531 x1
70 O 0.477 0.313 0.247 x1
71 O 0.483 0.173 0.747 x1
72 O 0.489 0.132 0.143 x1
73 O 0.495 0.372 0.641 x1
74 O 0.507 0.152 0.423 x1
75 O 0.507 0.362 0.923 x1
76 O 0.509 0.648 0.079 x1
77 O 0.513 0.869 0.580 x1
78 O 0.523 0.891 0.862 x1
79 O 0.524 0.641 0.362 x1
80 O 0.528 0.841 0.258 x1
81 O 0.531 0.697 0.758 x1
82 O 0.551 0.704 0.473 x1
83 O 0.552 0.856 0.972 x1
84 O 0.643 0.518 0.139 x1
85 O 0.645 0.134 0.641 x1
86 O 0.652 0.152 0.923 x1
87 O 0.653 0.509 0.423 x1
88 O 0.689 0.165 0.247 x1
89 O 0.698 0.533 0.746 x1
90 O 0.710 0.554 0.030 x1
91 O 0.717 0.171 0.532 x1
92 O 0.792 0.828 0.696 x1
93 O 0.793 0.970 0.198 x1
94 O 0.818 0.840 0.413 x1
95 O 0.819 0.987 0.912 x1
96 O 0.828 0.038 0.308 x1
97 O 0.830 0.797 0.807 x1
98 O 0.842 0.318 0.746 x1
99 O 0.843 0.818 0.090 x1
100 O 0.847 0.042 0.592 x1
101 O 0.847 0.536 0.247 x1
102 O 0.849 0.553 0.530 x1
103 O 0.853 0.305 0.030 x1
104 O 0.862 0.362 0.424 x1
105 O 0.863 0.509 0.923 x1
106 O 0.882 0.367 0.140 x1
107 O 0.883 0.515 0.640 x1
108 O 0.975 0.184 0.805 x1
109 O 0.978 0.801 0.308 x1
110 O 0.980 0.816 0.591 x1
111 O 0.989 0.175 0.091 x1

ρ = 3.375 g/cm³
Formation enthalpy at 0 K = -2.667 eV/atom


Here is MgO after structural relaxation from Materials Project. Energies are from GGA-PBE.

Lattice parameters (Å, degrees): 9.584 9.593 10.344 88.31 87.32 88.89
Space group P1 (No. 1)
Inequivalent atoms, fractional coordinates:
1 Mg 0.000 0.000 0.000 x1
2 Mg 0.003 0.020 0.655 x1
3 Mg 0.026 0.401 0.619 x1
4 Mg 0.099 0.870 0.363 x1
5 Mg 0.116 0.683 0.571 x1
6 Mg 0.122 0.353 0.147 x1
7 Mg 0.128 0.628 0.075 x1
8 Mg 0.190 0.082 0.186 x1
9 Mg 0.220 0.119 0.869 x1
10 Mg 0.224 0.083 0.450 x1
11 Mg 0.224 0.820 0.889 x1
12 Mg 0.233 0.376 0.415 x1
13 Mg 0.250 0.473 0.847 x1
14 Mg 0.256 0.632 0.325 x1
15 Mg 0.347 0.848 0.171 x1
16 Mg 0.355 0.873 0.599 x1
17 Mg 0.403 0.244 0.617 x1
18 Mg 0.430 0.574 0.085 x1
19 Mg 0.445 0.335 0.233 x1
20 Mg 0.467 0.980 0.943 x1
21 Mg 0.491 0.594 0.453 x1
22 Mg 0.494 0.034 0.327 x1
23 Mg 0.510 0.305 0.880 x1
24 Mg 0.521 0.666 0.801 x1
25 Mg 0.611 0.011 0.580 x1
26 Mg 0.633 0.777 0.236 x1
27 Mg 0.650 0.323 0.461 x1
28 Mg 0.688 0.116 0.079 x1
29 Mg 0.713 0.473 0.929 x1
30 Mg 0.752 0.177 0.750 x1
31 Mg 0.753 0.490 0.646 x1
32 Mg 0.755 0.757 0.511 x1
33 Mg 0.757 0.817 0.758 x1
34 Mg 0.765 0.392 0.182 x1
35 Mg 0.833 0.757 0.041 x1
36 Mg 0.846 0.959 0.303 x1
37 Mg 0.911 0.576 0.341 x1
38 Mg 0.968 0.250 0.399 x1
39 Mg 0.972 0.295 0.927 x1
40 Mg 0.979 0.594 0.820 x1
41 O 0.015 0.102 0.824 x1
42 O 0.017 0.064 0.334 x1
43 O 0.022 0.768 0.940 x1
44 O 0.080 0.468 0.972 x1
45 O 0.096 0.182 0.046 x1
46 O 0.097 0.533 0.439 x1
47 O 0.137 0.903 0.560 x1
48 O 0.140 0.243 0.542 x1
49 O 0.142 0.546 0.709 x1
50 O 0.155 0.759 0.208 x1
51 O 0.262 0.964 0.024 x1
52 O 0.264 0.239 0.276 x1
53 O 0.264 0.494 0.181 x1
54 O 0.293 0.962 0.313 x1
55 O 0.322 0.699 0.500 x1
56 O 0.327 0.284 0.805 x1
57 O 0.338 0.948 0.783 x1
58 O 0.343 0.650 0.924 x1
59 O 0.416 0.060 0.518 x1
60 O 0.435 0.393 0.445 x1
61 O 0.458 0.677 0.247 x1
62 O 0.530 0.403 0.053 x1
63 O 0.534 0.950 0.134 x1
64 O 0.578 0.803 0.656 x1
65 O 0.586 0.473 0.779 x1
66 O 0.605 0.216 0.626 x1
67 O 0.607 0.121 0.900 x1
68 O 0.630 0.232 0.277 x1
69 O 0.658 0.914 0.390 x1
70 O 0.691 0.563 0.466 x1
71 O 0.696 0.702 0.913 x1
72 O 0.776 0.619 0.177 x1
73 O 0.791 0.296 0.020 x1
74 O 0.801 0.994 0.665 x1
75 O 0.833 0.953 0.109 x1
76 O 0.849 0.332 0.535 x1
77 O 0.874 0.677 0.663 x1
78 O 0.879 0.408 0.786 x1
79 O 0.916 0.780 0.385 x1
80 O 0.949 0.388 0.258 x1

ρ = 2.820 g/cm³
Formation enthalpy at 0 K = -2.708 eV/atom


| no. | spin magnetization (μB per cell) |
| --- | --- |
| 1 | 0.0 |
| 2 | 0.0 |